[1]
Computed, not measured: a relaxed Ca2AlP3Pt7 crystal at the GGA-PBE level of DFT.

extended XYZ file:
```
13
Lattice="-3.204 12.854 4.331 -0.649 13.906 -0.666 -0.595 -13.561 -3.160" Properties=species:S:1:pos:R:3 pbc="T T T"
Ca -2.565 17.816 2.440
Ca -1.288 8.943 1.225
Al -1.926 13.380 1.833
P -3.384 23.501 3.219
P -0.469 3.258 0.446
P -1.585 6.862 -0.997
Pt -2.276 11.661 -0.339
Pt -3.545 11.073 2.151
Pt -2.181 1.599 0.853
Pt -0.894 2.064 -1.654
Pt -3.059 21.247 2.910
Pt -0.794 5.513 0.755
Pt 0.000 0.000 0.000
```

Values from the calculation:
- Formation energy: -11.8 eV/f.u.
- Electronic total energy: -78.3 eV/cell
- Symmetry: I-4m2, No. 119
- Calculated volume: 222.41 Å³ per cell


[2]
Computed, not measured: a relaxed Ca43Al16Pb13 crystal at the GGA-PBE level of DFT.

extended XYZ file:
```
72
Lattice="-1.868 19.966 1.769 -10.421 16.405 -5.249 -11.508 15.282 6.268" Properties=species:S:1:pos:R:3 pbc="T T T"
Ca -14.760 24.635 -0.954
Ca -4.585 18.835 -0.460
Ca -11.394 22.644 -0.837
Ca -12.915 32.281 5.936
Ca -11.535 26.202 -2.459
Ca -11.163 15.639 2.610
Ca -11.758 22.267 3.030
Ca -12.173 33.049 -1.936
Ca -15.124 24.260 2.900
Ca -4.930 18.479 3.198
Ca -12.262 25.451 5.248
Ca -10.766 16.048 -1.591
Ca -12.039 29.386 -0.241
Ca -11.624 18.605 4.725
Ca -12.403 29.009 3.626
Ca -10.882 19.372 -3.147
Ca -15.275 27.813 1.270
Ca -5.036 21.806 1.650
Ca -9.037 27.018 3.743
Ca -7.705 17.536 -3.020
Ca -8.674 27.394 -0.111
Ca -8.446 16.770 4.840
Ca -8.522 23.840 1.519
Ca -18.761 29.847 1.139
Ca -6.741 11.400 -2.575
Ca -8.185 20.771 4.088
Ca -7.306 10.816 3.415
Ca -7.660 21.313 -1.481
Ca -19.393 42.093 2.273
Ca -7.486 16.249 0.877
Ca -2.293 13.252 1.075
Ca -12.320 19.049 0.694
Ca -17.056 40.253 5.364
Ca -15.612 30.883 -1.299
Ca -16.491 40.837 -0.626
Ca -16.138 30.340 4.270
Ca -4.405 9.561 0.516
Ca -16.311 35.404 1.911
Ca -21.504 38.401 1.714
Ca -11.477 32.604 2.095
Ca -5.969 12.955 0.699
Ca -17.828 38.698 2.089
Ca -11.899 25.827 1.394
Al -10.745 28.096 6.228
Al -9.274 18.678 -0.425
Al -9.911 28.958 -2.617
Al -9.528 18.416 2.266
Al -21.520 46.710 2.522
Al -9.612 20.863 1.126
Al -17.313 25.361 0.838
Al -7.276 19.510 1.215
Al -13.052 23.557 -3.439
Al -14.523 32.975 3.213
Al -13.886 22.696 5.405
Al -14.269 33.238 0.523
Al -2.277 4.943 0.267
Al -14.185 30.791 1.662
Al -6.484 26.292 1.951
Al -16.521 32.144 1.574
Pb -15.017 27.148 4.524
Pb -15.508 37.763 -0.264
Pb -9.391 23.875 4.736
Pb -7.830 14.365 -1.820
Pb -9.601 29.779 1.996
Pb -19.586 35.781 1.639
Pb -8.780 24.505 -1.735
Pb -8.289 13.890 3.053
Pb -14.407 27.779 -1.947
Pb -15.967 37.288 4.609
Pb -14.196 21.874 0.792
Pb -4.211 15.872 1.150
Pb 0.000 0.000 0.000
```

Values from the calculation:
- Formation energy: -30.2 eV/f.u.
- Electronic total energy: -224.6 eV/cell
- Symmetry: R-3m, No. 166
- Calculated volume: 2220.59 Å³ per cell